Density functional theory data (PBE-GGA) for a relaxed structure of TmNi2Ge2.

Structure (extended XYZ):
```
5
Lattice="-2.018 2.018 4.887 2.018 -2.018 4.887 2.018 2.018 -4.887" Properties=species:S:1:pos:R:3 pbc="T T T"
Tm 0.000 0.000 0.000
Ni 2.018 0.000 2.444
Ni 0.000 2.018 2.444
Ge 0.000 0.000 3.644
Ge 0.000 0.000 6.131
```

total DFT energy (no corrections) = -5.72 eV per atom
crystal system = tetragonal